A geometry-optimized MgSi2 structure, computed with PBE.

ρ: 2284 kg/m³
E_form: 194 meV/atom
ΔE to the lowest computed polymorph: 116 meV per atom
crystal system: monoclinic
VASP energy: -4.00 eV per atom
volume: 234 Å³/cell

Unit cell a=6.057 b=3.795 c=10.431 alpha=90.00 beta=102.54 gamma=90.00
Fractional positions:
Mg (0.000, 0.000, 0.000)
Mg (0.014, 0.500, 0.514)
Mg (0.429, 0.000, 0.672)
Mg (0.743, 0.500, 0.218)
Si (0.074, 0.500, 0.811)
Si (0.194, 0.500, 0.253)
Si (0.392, 0.000, 0.199)
Si (0.440, 0.500, 0.473)
Si (0.477, 0.500, 0.872)
Si (0.551, 0.000, 0.008)
Si (0.666, 0.000, 0.433)
Si (0.895, 0.000, 0.698)

A geometry-optimized Gd3AlVS7 structure, computed with PBE.

ρ: 5141 kg/m³
E_form: -1980 meV/atom
crystal system: hexagonal
VASP energy: -8.69 eV per atom
volume: 500 Å³/cell

Unit cell a=9.773 b=9.773 c=6.046 alpha=90.00 beta=90.00 gamma=120.00
Fractional positions:
Gd (0.146, 0.769, 0.000)
Gd (0.231, 0.376, 0.000)
Gd (0.376, 0.146, 0.500)
Gd (0.624, 0.854, 0.000)
Gd (0.769, 0.624, 0.500)
Gd (0.854, 0.231, 0.500)
Al (0.333, 0.667, 0.574)
Al (0.667, 0.333, 0.074)
V (0.000, 0.000, 0.176)
V (0.000, 0.000, 0.676)
S (0.092, 0.516, 0.728)
S (0.092, 0.864, 0.422)
S (0.136, 0.229, 0.422)
S (0.229, 0.092, 0.922)
S (0.333, 0.667, 0.208)
S (0.424, 0.908, 0.728)
S (0.484, 0.576, 0.728)
S (0.516, 0.424, 0.228)
S (0.576, 0.092, 0.228)
S (0.667, 0.333, 0.708)
S (0.771, 0.908, 0.422)
S (0.864, 0.771, 0.922)
S (0.908, 0.136, 0.922)
S (0.908, 0.484, 0.228)

A geometry-optimized Tm2CuRu structure, computed with PBE.

ρ: 10876 kg/m³
E_form: -407 meV/atom
crystal system: cubic
VASP energy: -5.99 eV per atom
volume: 77 Å³/cell

Unit cell a=4.769 b=4.769 c=4.769 alpha=60.00 beta=60.00 gamma=60.00
Fractional positions:
Tm (0.250, 0.250, 0.250)
Tm (0.750, 0.750, 0.750)
Cu (0.000, 0.000, 0.000)
Ru (0.500, 0.500, 0.500)

A geometry-optimized TmHO2 structure, computed with PBE.

ρ: 7501 kg/m³
E_form: -3028 meV/atom
crystal system: monoclinic
VASP energy: -7.13 eV per atom
volume: 179 Å³/cell

Unit cell a=5.887 b=5.434 c=5.893 alpha=90.00 beta=108.49 gamma=90.00
Fractional positions:
Tm (0.234, 0.016, 0.246)
Tm (0.234, 0.484, 0.746)
Tm (0.766, 0.516, 0.254)
Tm (0.766, 0.984, 0.754)
H (0.278, 0.529, 0.231)
H (0.278, 0.971, 0.731)
H (0.722, 0.029, 0.269)
H (0.722, 0.471, 0.769)
O (0.133, 0.136, 0.872)
O (0.133, 0.364, 0.372)
O (0.366, 0.634, 0.141)
O (0.366, 0.866, 0.641)
O (0.634, 0.134, 0.359)
O (0.634, 0.366, 0.859)
O (0.867, 0.636, 0.628)
O (0.867, 0.864, 0.128)

A geometry-optimized BaEr2Se4 structure, computed with PBE.

ρ: 6431 kg/m³
E_form: -2237 meV/atom
crystal system: orthorhombic
VASP energy: -5.54 eV per atom
volume: 813 Å³/cell

Unit cell a=12.822 b=4.196 c=15.119 alpha=90.00 beta=90.00 gamma=90.00
Fractional positions:
Ba (0.243, 0.250, 0.163)
Ba (0.257, 0.750, 0.663)
Ba (0.743, 0.250, 0.337)
Ba (0.757, 0.750, 0.837)
Er (0.065, 0.250, 0.390)
Er (0.079, 0.250, 0.900)
Er (0.421, 0.750, 0.400)
Er (0.435, 0.750, 0.890)
Er (0.565, 0.250, 0.110)
Er (0.579, 0.250, 0.600)
Er (0.921, 0.750, 0.100)
Er (0.935, 0.750, 0.610)
Se (0.024, 0.750, 0.784)
Se (0.082, 0.250, 0.577)
Se (0.125, 0.750, 0.024)
Se (0.207, 0.750, 0.337)
Se (0.293, 0.250, 0.837)
Se (0.375, 0.250, 0.524)
Se (0.418, 0.750, 0.077)
Se (0.476, 0.250, 0.284)
Se (0.524, 0.750, 0.716)
Se (0.582, 0.250, 0.923)
Se (0.625, 0.750, 0.476)
Se (0.707, 0.750, 0.163)
Se (0.793, 0.250, 0.663)
Se (0.875, 0.250, 0.976)
Se (0.918, 0.750, 0.423)
Se (0.976, 0.250, 0.216)

A geometry-optimized MgFeCuS2 structure, computed with PBE.

ρ: 4440 kg/m³
E_form: -641 meV/atom
ΔE to the lowest computed polymorph: 0 meV per atom
crystal system: monoclinic
VASP energy: -4.93 eV per atom
volume: 78 Å³/cell

Unit cell a=3.702 b=3.702 c=6.539 alpha=90.06 beta=90.06 gamma=60.12
Fractional positions:
Mg (0.000, 0.000, 0.000)
Fe (0.666, 0.666, 0.395)
Cu (0.333, 0.333, 0.620)
S (0.333, 0.333, 0.228)
S (0.667, 0.667, 0.766)

A geometry-optimized MgMnTlV4S8 structure, computed with PBE.

ρ: 4469 kg/m³
E_form: -1088 meV/atom
ΔE to the lowest computed polymorph: 0 meV per atom
crystal system: triclinic
VASP energy: -6.32 eV per atom
volume: 276 Å³/cell

Unit cell a=3.399 b=9.118 c=9.567 alpha=71.62 beta=79.77 gamma=90.00
Fractional positions:
Mg (0.000, 0.000, 0.000)
Mn (0.657, 0.614, 0.688)
Tl (0.190, 0.131, 0.626)
V (0.287, 0.616, 0.428)
V (0.342, 0.959, 0.316)
V (0.937, 0.335, 0.127)
V (0.976, 0.664, 0.048)
S (0.063, 0.521, 0.876)
S (0.215, 0.789, 0.572)
S (0.396, 0.489, 0.208)
S (0.469, 0.169, 0.061)
S (0.546, 0.848, 0.908)
S (0.724, 0.442, 0.553)
S (0.817, 0.126, 0.367)
S (0.872, 0.789, 0.256)

A geometry-optimized Eu4Zn51 structure, computed with PBE.

ρ: 7321 kg/m³
E_form: -182 meV/atom
crystal system: trigonal
VASP energy: -2.10 eV per atom
volume: 895 Å³/cell

Unit cell a=14.804 b=14.804 c=14.804 alpha=33.80 beta=33.80 gamma=33.80
Fractional positions:
Eu (0.125, 0.125, 0.125)
Eu (0.375, 0.375, 0.375)
Eu (0.625, 0.625, 0.625)
Eu (0.875, 0.875, 0.875)
Zn (0.000, 0.000, 0.000)
Zn (0.021, 0.419, 0.780)
Zn (0.031, 0.668, 0.271)
Zn (0.039, 0.401, 0.159)
Zn (0.082, 0.719, 0.479)
Zn (0.093, 0.849, 0.210)
Zn (0.100, 0.341, 0.460)
Zn (0.151, 0.790, 0.907)
Zn (0.159, 0.039, 0.401)
Zn (0.176, 0.765, 0.530)
Zn (0.210, 0.093, 0.849)
Zn (0.220, 0.979, 0.581)
Zn (0.235, 0.470, 0.824)
Zn (0.250, 0.250, 0.250)
Zn (0.271, 0.031, 0.668)
Zn (0.281, 0.521, 0.918)
Zn (0.295, 0.412, 0.646)
Zn (0.332, 0.729, 0.969)
Zn (0.341, 0.460, 0.100)
Zn (0.354, 0.705, 0.588)
Zn (0.401, 0.159, 0.039)
Zn (0.412, 0.646, 0.295)
Zn (0.419, 0.780, 0.021)
Zn (0.460, 0.100, 0.341)
Zn (0.470, 0.824, 0.235)
Zn (0.479, 0.082, 0.719)
Zn (0.521, 0.918, 0.281)
Zn (0.530, 0.176, 0.765)
Zn (0.540, 0.900, 0.659)
Zn (0.581, 0.220, 0.979)
Zn (0.588, 0.354, 0.705)
Zn (0.599, 0.841, 0.961)
Zn (0.646, 0.295, 0.412)
Zn (0.659, 0.540, 0.900)
Zn (0.668, 0.271, 0.031)
Zn (0.705, 0.588, 0.354)
Zn (0.719, 0.479, 0.082)
Zn (0.729, 0.969, 0.332)
Zn (0.750, 0.750, 0.750)
Zn (0.765, 0.530, 0.176)
Zn (0.780, 0.021, 0.419)
Zn (0.790, 0.907, 0.151)
Zn (0.824, 0.235, 0.470)
Zn (0.841, 0.961, 0.599)
Zn (0.849, 0.210, 0.093)
Zn (0.900, 0.659, 0.540)
Zn (0.907, 0.151, 0.790)
Zn (0.918, 0.281, 0.521)
Zn (0.961, 0.599, 0.841)
Zn (0.969, 0.332, 0.729)
Zn (0.979, 0.581, 0.220)